DFT (GGA-PBE) results for an optimized crystal structure of Tb3Ag.

Unit cell a=4.8003 b=4.8003 c=4.8003 alpha=90.00 beta=90.00 gamma=90.00
Fractional coordinates of all 4 atoms:
1 Tb 0.0000 0.0000 0.5000
2 Tb 0.0000 0.5000 0.0000
3 Tb 0.5000 0.0000 0.0000
4 Ag 0.5000 0.5000 0.5000

## Properties
**E_tot**: -4.173 eV per atom
**M_tot**: 0.09 μB/cell

DFT (GGA-PBE) results for an optimized crystal structure of Lu6Ti4Al43.

Unit cell a=11.0452 b=11.0452 c=17.6567 alpha=90.00 beta=90.00 gamma=120.00
Fractional coordinates of all 106 atoms:
1 Lu 0.0000 0.4687 0.0964
2 Lu 0.0000 0.4687 0.4036
3 Lu 0.0000 0.5313 0.5964
4 Lu 0.0000 0.5313 0.9036
5 Lu 0.4687 0.0000 0.0964
6 Lu 0.4687 0.0000 0.4036
7 Lu 0.4687 0.4687 0.5964
8 Lu 0.4687 0.4687 0.9036
9 Lu 0.5313 0.0000 0.5964
10 Lu 0.5313 0.0000 0.9036
11 Lu 0.5313 0.5313 0.0964
12 Lu 0.5313 0.5313 0.4036
13 Ti 0.0000 0.0000 0.0000
14 Ti 0.0000 0.0000 0.5000
15 Ti 0.0000 0.2725 0.2500
16 Ti 0.0000 0.7275 0.7500
17 Ti 0.2725 0.0000 0.2500
18 Ti 0.2725 0.2725 0.7500
19 Ti 0.7275 0.0000 0.7500
20 Ti 0.7275 0.7275 0.2500
21 Al 0.0000 0.1468 0.7500
22 Al 0.0000 0.1572 0.1158
23 Al 0.0000 0.1572 0.3842
24 Al 0.0000 0.2550 0.5292
25 Al 0.0000 0.2550 0.9708
26 Al 0.0000 0.7450 0.0292
27 Al 0.0000 0.7450 0.4708
28 Al 0.0000 0.8428 0.6158
29 Al 0.0000 0.8428 0.8842
30 Al 0.0000 0.8532 0.2500
31 Al 0.1468 0.0000 0.7500
32 Al 0.1468 0.1468 0.2500
33 Al 0.1492 0.5522 0.2500
34 Al 0.1492 0.5971 0.7500
35 Al 0.1572 0.0000 0.1158
36 Al 0.1572 0.0000 0.3842
37 Al 0.1572 0.1572 0.6158
38 Al 0.1572 0.1572 0.8842
39 Al 0.1583 0.3940 0.6639
40 Al 0.1583 0.3940 0.8361
41 Al 0.1583 0.7643 0.1639
42 Al 0.1583 0.7643 0.3361
43 Al 0.2357 0.3940 0.1639
44 Al 0.2357 0.3940 0.3361
45 Al 0.2357 0.8417 0.6639
46 Al 0.2357 0.8417 0.8361
47 Al 0.2474 0.4949 0.0000
48 Al 0.2474 0.4949 0.5000
49 Al 0.2474 0.7526 0.0000
50 Al 0.2474 0.7526 0.5000
51 Al 0.2550 0.0000 0.5292
52 Al 0.2550 0.0000 0.9708
53 Al 0.2550 0.2550 0.0292
54 Al 0.2550 0.2550 0.4708
55 Al 0.3333 0.6667 0.1259
56 Al 0.3333 0.6667 0.3741
57 Al 0.3333 0.6667 0.6259
58 Al 0.3333 0.6667 0.8741
59 Al 0.3940 0.1583 0.6639
60 Al 0.3940 0.1583 0.8361
61 Al 0.3940 0.2357 0.1639
62 Al 0.3940 0.2357 0.3361
63 Al 0.4029 0.5522 0.7500
64 Al 0.4029 0.8508 0.2500
65 Al 0.4478 0.5971 0.2500
66 Al 0.4478 0.8508 0.7500
67 Al 0.4949 0.2474 0.0000
68 Al 0.4949 0.2474 0.5000
69 Al 0.5051 0.7526 0.0000
70 Al 0.5051 0.7526 0.5000
71 Al 0.5522 0.1492 0.2500
72 Al 0.5522 0.4029 0.7500
73 Al 0.5971 0.1492 0.7500
74 Al 0.5971 0.4478 0.2500
75 Al 0.6060 0.7643 0.6639
76 Al 0.6060 0.7643 0.8361
77 Al 0.6060 0.8417 0.1639
78 Al 0.6060 0.8417 0.3361
79 Al 0.6667 0.3333 0.1259
80 Al 0.6667 0.3333 0.3741
81 Al 0.6667 0.3333 0.6259
82 Al 0.6667 0.3333 0.8741
83 Al 0.7450 0.0000 0.0292
84 Al 0.7450 0.0000 0.4708
85 Al 0.7450 0.7450 0.5292
86 Al 0.7450 0.7450 0.9708
87 Al 0.7526 0.2474 0.0000
88 Al 0.7526 0.2474 0.5000
89 Al 0.7526 0.5051 0.0000
90 Al 0.7526 0.5051 0.5000
91 Al 0.7643 0.1583 0.1639
92 Al 0.7643 0.1583 0.3361
93 Al 0.7643 0.6060 0.6639
94 Al 0.7643 0.6060 0.8361
95 Al 0.8417 0.2357 0.6639
96 Al 0.8417 0.2357 0.8361
97 Al 0.8417 0.6060 0.1639
98 Al 0.8417 0.6060 0.3361
99 Al 0.8428 0.0000 0.6158
100 Al 0.8428 0.0000 0.8842
101 Al 0.8428 0.8428 0.1158
102 Al 0.8428 0.8428 0.3842
103 Al 0.8508 0.4029 0.2500
104 Al 0.8508 0.4478 0.7500
105 Al 0.8532 0.0000 0.2500
106 Al 0.8532 0.8532 0.7500

## Properties
**E_tot**: -4.467 eV per atom
**M_tot**: 0.65 μB/cell

DFT (GGA-PBE) results for an optimized crystal structure of ZrSn.

Unit cell a=3.1791 b=5.7600 c=5.2045 alpha=90.00 beta=90.00 gamma=90.00
Fractional coordinates of all 4 atoms:
1 Zr 0.2500 0.2500 0.0773
2 Zr 0.7500 0.7500 0.9227
3 Sn 0.2500 0.7500 0.4146
4 Sn 0.7500 0.2500 0.5854

## Properties
**E_tot**: -6.555 eV per atom
**M_tot**: 0.00 μB/cell